Entry 1:
8
Lattice="-2.002 3.507 4.825 2.002 -3.507 4.825 2.002 3.507 -4.825" Properties=species:S:1:pos:R:3 comment="r²SCAN LaAl5Ni2, optimized geometry" formation_enthalpy_0k_ev_per_atom=-0.642 sg=Immm final_energy_ev_per_atom=-11.563 rho_g_cm3=4.8 pbc="T T T"
La 0.000 0.000 0.000
Al 2.002 2.184 -1.551
Al 2.002 2.184 1.551
Al 0.000 3.507 0.000
Al 0.000 1.323 3.274
Al 0.000 1.323 6.376
Ni 2.002 0.000 2.551
Ni 0.000 3.507 2.275



Entry 2:
12
Lattice="5.091 -3.885 0.000 5.091 3.885 0.000 0.000 0.000 5.098" Properties=species:S:1:pos:R:3 comment="r²SCAN LaAl3Ni2, optimized geometry" formation_enthalpy_0k_ev_per_atom=-0.661 sg=Cmcm final_energy_ev_per_atom=-12.978 rho_g_cm3=5.6 pbc="T T T"
La 5.091 2.721 3.824
La 5.091 -2.721 1.275
Al 3.065 2.150 1.275
Al 7.117 2.150 1.275
Al 5.091 0.475 1.275
Al 5.091 -0.475 3.824
Al 3.065 -2.150 3.824
Al 7.117 -2.150 3.824
Ni 3.061 0.000 0.000
Ni 3.061 0.000 2.549
Ni 7.122 0.000 0.000
Ni 7.122 0.000 2.549



Entry 3:
20
Lattice="7.133 -3.443 0.000 7.133 3.443 0.000 0.000 0.000 10.425" Properties=species:S:1:pos:R:3 comment="r²SCAN La5Al3Ni2, optimized geometry" formation_enthalpy_0k_ev_per_atom=-0.423 sg=Cmcm final_energy_ev_per_atom=-19.711 rho_g_cm3=5.8 pbc="T T T"
La 4.039 1.758 2.606
La 7.133 2.712 7.819
La 5.346 0.000 0.000
La 5.346 0.000 5.213
La 10.227 1.758 2.606
La 4.039 -1.758 7.819
La 8.920 0.000 0.000
La 8.920 0.000 5.213
La 7.133 -2.712 2.606
La 10.227 -1.758 7.819
Al 2.082 0.000 0.000
Al 2.082 0.000 5.213
Al 7.133 0.833 2.606
Al 7.133 -0.833 7.819
Al 12.184 0.000 0.000
Al 12.184 0.000 5.213
Ni 7.133 2.272 0.634
Ni 7.133 2.272 4.578
Ni 7.133 -2.272 5.847
Ni 7.133 -2.272 9.791



Entry 4:
10
Lattice="-2.678 3.780 2.687 2.678 -3.780 2.687 2.678 3.780 -2.687" Properties=species:S:1:pos:R:3 comment="r²SCAN LaAlO3, optimized geometry" formation_enthalpy_0k_ev_per_atom=-3.665 sg=Imma final_energy_ev_per_atom=-14.544 rho_g_cm3=6.5 pbc="T T T"
La 0.000 1.890 0.006
La 2.678 1.890 2.681
Al 2.678 0.000 0.000
Al 0.000 0.000 2.687
O 2.678 1.890 -0.216
O 1.339 3.936 -1.343
O 1.339 0.156 1.343
O -1.339 3.624 1.343
O 1.339 3.624 1.343
O 0.000 1.890 2.903



Entry 5:
5
Lattice="5.031 0.000 0.000 0.000 5.031 0.000 0.000 0.000 5.031" Properties=species:S:1:pos:R:3 comment="r²SCAN La3AlO, optimized geometry" formation_enthalpy_0k_ev_per_atom=-1.481 sg=Pm-3m final_energy_ev_per_atom=-21.869 rho_g_cm3=6.0 pbc="T T T"
La 0.000 0.000 2.516
La 0.000 2.516 0.000
La 2.516 0.000 0.000
Al 2.516 2.516 2.516
O 0.000 0.000 0.000



Entry 6:
10
Lattice="2.681 1.548 4.364 -2.681 1.548 4.364 0.000 -3.096 4.364" Properties=species:S:1:pos:R:3 comment="r²SCAN LaAlO3, optimized geometry" formation_enthalpy_0k_ev_per_atom=-3.665 sg=R-3c final_energy_ev_per_atom=-14.544 rho_g_cm3=6.5 pbc="T T T"
La 0.000 0.000 3.273
La 0.000 0.000 9.819
Al 0.000 0.000 0.000
Al 0.000 0.000 6.546
O -1.426 0.627 5.455
O -1.256 -0.921 7.637
O 0.170 -1.548 5.455
O -0.170 1.548 7.637
O 1.256 0.921 5.455
O 1.426 -0.627 7.637



Entry 7:
60
Lattice="7.924 0.000 0.000 0.000 11.026 0.000 -3.870 0.000 10.758" Properties=species:S:1:pos:R:3 comment="r²SCAN La4Al2O9, optimized geometry" formation_enthalpy_0k_ev_per_atom=-3.671 sg=P2_1/c final_energy_ev_per_atom=-16.084 rho_g_cm3=5.3 pbc="T T T"
La -0.977 1.421 4.596
La -2.912 4.092 9.975
La -0.912 6.396 7.404
La 1.023 10.142 2.025
La -0.910 1.035 8.568
La 1.026 4.478 3.189
La 2.957 6.872 0.889
La 1.022 9.667 6.268
La 3.031 1.359 4.490
La 1.096 4.154 9.869
La 3.028 6.548 7.569
La 4.963 9.991 2.190
La 3.030 0.884 8.733
La 4.966 4.629 3.354
La 6.966 6.934 0.783
La 5.031 9.605 6.162
Al -1.201 7.642 3.992
Al -3.136 8.896 9.371
Al 2.735 2.149 1.341
Al 0.800 3.364 6.720
Al 3.254 7.662 4.038
Al 1.319 8.877 9.417
Al 7.190 2.130 1.387
Al 5.255 3.383 6.766
O -2.701 7.921 7.961
O -0.766 8.618 2.582
O -0.876 5.963 3.609
O -2.811 10.575 8.988
O -0.711 8.135 5.592
O 1.224 8.404 0.213
O 0.944 5.525 1.118
O -0.991 11.014 6.497
O 0.999 2.454 1.334
O -0.936 3.059 6.713
O 0.969 0.010 4.238
O -0.966 5.503 9.617
O -0.698 2.581 10.458
O 1.237 2.932 5.079
O 0.842 7.834 8.088
O 2.777 8.705 2.709
O 3.079 0.519 1.905
O 1.143 4.994 7.284
O 2.910 6.032 3.474
O 0.975 10.507 8.853
O 1.276 2.321 8.049
O 3.212 3.192 2.670
O 2.816 8.094 5.679
O 4.751 8.445 0.300
O 5.020 5.523 1.141
O 3.085 11.015 6.520
O 4.990 7.967 4.045
O 3.054 8.572 9.424
O 5.045 0.012 4.261
O 3.110 5.501 9.640
O 2.830 2.622 10.545
O 4.765 2.891 5.166
O 6.865 0.450 1.770
O 4.930 5.063 7.149
O 4.820 2.408 8.176
O 6.755 3.105 2.797



Entry 8:
5
Lattice="3.783 0.000 0.000 0.000 3.783 0.000 0.000 0.000 3.783" Properties=species:S:1:pos:R:3 comment="r²SCAN LaAlO3, optimized geometry" formation_enthalpy_0k_ev_per_atom=-3.662 sg=Pm-3m final_energy_ev_per_atom=-14.541 rho_g_cm3=6.6 pbc="T T T"
La 0.000 0.000 0.000
Al 1.891 1.891 1.891
O 0.000 1.891 1.891
O 1.891 0.000 1.891
O 1.891 1.891 0.000